First-principles (r²SCAN) data for NpN after structural relaxation, as listed in the Materials Project database.

Properties
Formation energy from the elements in meV/atom: -1628.6
Density in kg/m3: 13718
DFT total energy in eV per atom: -47.71

Unit cell a=3.503 b=3.503 c=3.503 alpha=60.00 beta=60.00 gamma=60.00
Fractional positions:
Np  0.500  0.500  0.500
N  0.000  0.000  0.000


First-principles (r²SCAN) data for Ti2Sn3 after structural relaxation, as listed in the Materials Project database.

Properties
Formation energy from the elements in meV/atom: -300.3
Density in kg/m3: 7152
DFT total energy in eV per atom: -20.32

Unit cell a=5.967 b=7.030 c=10.443 alpha=90.00 beta=106.65 gamma=90.00
Fractional positions:
Ti  0.081  0.453  0.161
Ti  0.587  0.250  0.674
Ti  0.914  0.750  0.326
Ti  0.414  0.750  0.326
Ti  0.581  0.048  0.161
Ti  0.087  0.250  0.673
Ti  0.920  0.548  0.839
Ti  0.420  0.953  0.839
Sn  0.225  0.429  0.449
Sn  0.879  0.927  0.757
Sn  0.725  0.072  0.449
Sn  0.276  0.929  0.551
Sn  0.772  0.751  0.041
Sn  0.123  0.074  0.243
Sn  0.379  0.574  0.757
Sn  0.730  0.251  0.959
Sn  0.776  0.572  0.551
Sn  0.272  0.750  0.041
Sn  0.230  0.250  0.959
Sn  0.623  0.427  0.243


First-principles (r²SCAN) data for Zn3Cu after structural relaxation, as listed in the Materials Project database.

Properties
Formation energy from the elements in meV/atom: -71.6
Density in kg/m3: 8167
DFT total energy in eV per atom: -9.47

Unit cell a=5.377 b=5.377 c=4.219 alpha=90.00 beta=90.00 gamma=120.00
Fractional positions:
Zn  0.170  0.339  0.250
Zn  0.661  0.830  0.250
Zn  0.170  0.830  0.250
Zn  0.830  0.661  0.750
Zn  0.339  0.170  0.750
Zn  0.830  0.170  0.750
Cu  0.333  0.667  0.750
Cu  0.667  0.333  0.250


First-principles (r²SCAN) data for Sc2CoIr after structural relaxation, as listed in the Materials Project database.

Properties
Formation energy from the elements in meV/atom: -767.8
Density in kg/m3: 8713
DFT total energy in eV per atom: -22.87

Unit cell a=4.513 b=4.513 c=4.511 alpha=60.02 beta=60.01 gamma=60.04
Fractional positions:
Sc  0.000  0.000  0.000
Sc  0.500  0.500  0.500
Co  0.250  0.250  0.250
Ir  0.750  0.750  0.750


First-principles (r²SCAN) data for CsSb2F11 after structural relaxation, as listed in the Materials Project database.

Properties
Formation energy from the elements in meV/atom: -2626.8
Density in kg/m3: 4177
DFT total energy in eV per atom: -10.55

Unit cell a=14.127 b=7.670 c=9.439 alpha=65.53 beta=90.00 gamma=90.00
Fractional positions:
Cs  0.630  0.734  0.275
Cs  0.370  0.266  0.725
Cs  0.870  0.734  0.775
Cs  0.130  0.266  0.225
Sb  0.952  0.737  0.242
Sb  0.048  0.263  0.758
Sb  0.548  0.737  0.742
Sb  0.805  0.277  0.308
Sb  0.195  0.723  0.692
Sb  0.305  0.723  0.192
Sb  0.695  0.277  0.808
Sb  0.452  0.263  0.258
F  0.362  0.883  0.003
F  0.947  0.416  0.644
F  0.527  0.043  0.345
F  0.742  0.081  0.277
F  0.258  0.919  0.723
F  0.871  0.493  0.345
F  0.758  0.081  0.777
F  0.797  0.319  0.918
F  0.242  0.919  0.223
F  0.473  0.957  0.655
F  0.203  0.681  0.082
F  0.340  0.150  0.364
F  0.553  0.416  0.144
F  0.138  0.883  0.503
F  0.739  0.482  0.627
F  0.239  0.518  0.873
F  0.447  0.584  0.856
F  0.976  0.648  0.087
F  0.415  0.740  0.297
F  0.297  0.681  0.582
F  0.587  0.790  0.910
F  0.024  0.352  0.913
F  0.160  0.150  0.864
F  0.862  0.117  0.497
F  0.703  0.319  0.418
F  0.629  0.493  0.845
F  0.087  0.210  0.590
F  0.973  0.043  0.845
F  0.638  0.117  0.997
F  0.585  0.260  0.703
F  0.913  0.790  0.410
F  0.761  0.482  0.127
F  0.053  0.584  0.356
F  0.371  0.507  0.155
F  0.261  0.518  0.373
F  0.476  0.352  0.413
F  0.413  0.210  0.090
F  0.524  0.648  0.587
F  0.027  0.957  0.155
F  0.660  0.850  0.636
F  0.840  0.850  0.136
F  0.915  0.260  0.203
F  0.129  0.507  0.655
F  0.085  0.740  0.797


First-principles (r²SCAN) data for Cr2N after structural relaxation, as listed in the Materials Project database.

Properties
Formation energy from the elements in meV/atom: -254.8
Density in kg/m3: 6871
DFT total energy in eV per atom: -13.35

Unit cell a=4.751 b=4.751 c=4.376 alpha=90.00 beta=90.00 gamma=120.00
Fractional positions:
Cr  0.000  0.674  0.747
Cr  0.674  0.000  0.747
Cr  0.326  0.326  0.747
Cr  0.674  0.674  0.253
Cr  0.000  0.326  0.253
Cr  0.326  0.000  0.253
N  0.000  0.000  0.000
N  0.667  0.333  0.500
N  0.333  0.667  0.500


First-principles (r²SCAN) data for Tm2TlAg after structural relaxation, as listed in the Materials Project database.

Properties
Formation energy from the elements in meV/atom: -405.4
Density in kg/m3: 11148
DFT total energy in eV per atom: -36.60

Unit cell a=5.154 b=5.154 c=5.154 alpha=60.00 beta=60.00 gamma=60.00
Fractional positions:
Tm  0.000  0.000  0.000
Tm  0.500  0.500  0.500
Tl  0.750  0.750  0.750
Ag  0.250  0.250  0.250


First-principles (r²SCAN) data for Ba2ZnCd after structural relaxation, as listed in the Materials Project database.

Properties
Formation energy from the elements in meV/atom: -195.5
Density in kg/m3: 5159
DFT total energy in eV per atom: -20.70

Unit cell a=5.906 b=5.906 c=5.906 alpha=60.00 beta=60.00 gamma=60.00
Fractional positions:
Ba  0.000  0.000  0.000
Ba  0.500  0.500  0.500
Zn  0.750  0.750  0.750
Cd  0.250  0.250  0.250